[1]
Density functional theory data (GGA-PBE) for a relaxed TlB5O8 crystal.

a = 7.6702 Å, b = 12.0602 Å, c = 14.9556 Å
α = 90.00°, β = 90.00°, γ = 90.00°
Fractional positions:
Tl 0.0665 0.2080 0.1224
Tl 0.0665 0.2920 0.6224
Tl 0.4335 0.7080 0.1224
Tl 0.4335 0.7920 0.6224
Tl 0.5665 0.2080 0.3776
Tl 0.5665 0.2920 0.8776
Tl 0.9335 0.7080 0.3776
Tl 0.9335 0.7920 0.8776
B 0.0228 0.5268 0.1564
B 0.0228 0.9732 0.6564
B 0.0455 0.2257 0.3736
B 0.0455 0.2743 0.8736
B 0.0798 0.1004 0.7867
B 0.0798 0.3996 0.2867
B 0.0967 0.5945 0.5816
B 0.0967 0.9055 0.0816
B 0.1908 0.0700 0.4557
B 0.1908 0.4300 0.9557
B 0.3092 0.5700 0.4557
B 0.3092 0.9300 0.9557
B 0.4033 0.0945 0.5816
B 0.4033 0.4055 0.0816
B 0.4202 0.6004 0.7867
B 0.4202 0.8996 0.2867
B 0.4545 0.7257 0.3736
B 0.4545 0.7743 0.8736
B 0.4772 0.0268 0.1564
B 0.4772 0.4732 0.6564
B 0.5228 0.5268 0.3436
B 0.5228 0.9732 0.8436
B 0.5455 0.2257 0.1264
B 0.5455 0.2743 0.6264
B 0.5798 0.1004 0.7133
B 0.5798 0.3996 0.2133
B 0.5967 0.5945 0.9184
B 0.5967 0.9055 0.4184
B 0.6908 0.0700 0.0443
B 0.6908 0.4300 0.5443
B 0.8092 0.5700 0.0443
B 0.8092 0.9300 0.5443
B 0.9033 0.0945 0.9184
B 0.9033 0.4055 0.4184
B 0.9202 0.6004 0.7133
B 0.9202 0.8996 0.2133
B 0.9545 0.7257 0.1264
B 0.9545 0.7743 0.6264
B 0.9772 0.0268 0.3436
B 0.9772 0.4732 0.8436
O 0.0124 0.5371 0.6505
O 0.0124 0.9629 0.1505
O 0.0540 0.6357 0.1720
O 0.0540 0.8643 0.6720
O 0.0786 0.7060 0.5737
O 0.0786 0.7940 0.0737
O 0.0967 0.5097 0.9077
O 0.0967 0.9903 0.4077
O 0.1105 0.0563 0.7031
O 0.1105 0.4437 0.2031
O 0.1306 0.2062 0.8036
O 0.1306 0.2938 0.3036
O 0.1764 0.1792 0.4354
O 0.1764 0.3208 0.9354
O 0.1992 0.5317 0.5236
O 0.1992 0.9683 0.0236
O 0.3008 0.0317 0.5236
O 0.3008 0.4683 0.0236
O 0.3236 0.6792 0.4354
O 0.3236 0.8208 0.9354
O 0.3694 0.7062 0.8036
O 0.3694 0.7938 0.3036
O 0.3895 0.5563 0.7031
O 0.3895 0.9437 0.2031
O 0.4033 0.0097 0.9077
O 0.4033 0.4903 0.4077
O 0.4214 0.2060 0.5737
O 0.4214 0.2940 0.0737
O 0.4460 0.1357 0.1720
O 0.4460 0.3643 0.6720
O 0.4876 0.0371 0.6505
O 0.4876 0.4629 0.1505
O 0.5124 0.5371 0.8495
O 0.5124 0.9629 0.3495
O 0.5540 0.6357 0.3280
O 0.5540 0.8643 0.8280
O 0.5786 0.7060 0.9263
O 0.5786 0.7940 0.4263
O 0.5967 0.5097 0.5923
O 0.5967 0.9903 0.0923
O 0.6105 0.0563 0.7969
O 0.6105 0.4437 0.2969
O 0.6306 0.2062 0.6964
O 0.6306 0.2938 0.1964
O 0.6764 0.1792 0.0646
O 0.6764 0.3208 0.5646
O 0.6992 0.5317 0.9764
O 0.6992 0.9683 0.4764
O 0.8008 0.0317 0.9764
O 0.8008 0.4683 0.4764
O 0.8236 0.6792 0.0646
O 0.8236 0.8208 0.5646
O 0.8694 0.7062 0.6964
O 0.8694 0.7938 0.1964
O 0.8895 0.5563 0.7969
O 0.8895 0.9437 0.2969
O 0.9033 0.0097 0.5923
O 0.9033 0.4903 0.0923
O 0.9214 0.2060 0.9263
O 0.9214 0.2940 0.4263
O 0.9460 0.1357 0.3280
O 0.9460 0.3643 0.8280
O 0.9876 0.0371 0.8495
O 0.9876 0.4629 0.3495

Computed properties:
* symmetry: No. 61
* electronic total energy: -7.6689 eV/atom

[2]
Density functional theory data (GGA-PBE) for a relaxed TlBO2 crystal.

a = 7.6257 Å, b = 7.6257 Å, c = 9.4719 Å
α = 90.00°, β = 90.00°, γ = 90.00°
Fractional positions:
Tl 0.0205 0.7310 0.0000
Tl 0.2674 0.2753 0.8436
Tl 0.2690 0.0205 0.2500
Tl 0.2753 0.7326 0.5936
Tl 0.7247 0.2674 0.0936
Tl 0.7310 0.9795 0.7500
Tl 0.7326 0.7247 0.3436
Tl 0.9795 0.2690 0.5000
B 0.1429 0.4608 0.2626
B 0.4083 0.5492 0.1161
B 0.4508 0.4083 0.3661
B 0.4608 0.8571 0.0126
B 0.5392 0.1429 0.5126
B 0.5492 0.5917 0.8661
B 0.5917 0.4508 0.6161
B 0.8571 0.5392 0.7626
O 0.0328 0.5527 0.7814
O 0.2178 0.5037 0.1324
O 0.2558 0.4275 0.3767
O 0.4275 0.7442 0.1267
O 0.4473 0.0328 0.0314
O 0.4664 0.4864 0.9775
O 0.4864 0.5336 0.7275
O 0.4963 0.2178 0.3824
O 0.5037 0.7822 0.8824
O 0.5136 0.4664 0.2275
O 0.5336 0.5136 0.4775
O 0.5527 0.9672 0.5314
O 0.5725 0.2558 0.6267
O 0.7442 0.5725 0.8767
O 0.7822 0.4963 0.6324
O 0.9672 0.4473 0.2814

Computed properties:
* symmetry: No. 76
* electronic total energy: -6.5871 eV/atom

[3]
Density functional theory data (GGA-PBE) for a relaxed TlB5O12 crystal.

a = 10.1089 Å, b = 7.5140 Å, c = 12.4426 Å
α = 90.00°, β = 95.05°, γ = 90.00°
Fractional positions:
Tl 0.2350 0.2398 0.4607
Tl 0.2350 0.2602 0.9607
Tl 0.7650 0.7398 0.0393
Tl 0.7650 0.7602 0.5393
B 0.0269 0.7465 0.6441
B 0.0269 0.7535 0.1441
B 0.1045 0.0606 0.1205
B 0.1045 0.4394 0.6205
B 0.2724 0.6861 0.6523
B 0.2724 0.8139 0.1523
B 0.4842 0.7288 0.5740
B 0.4842 0.7712 0.0740
B 0.4857 0.6589 0.7631
B 0.4857 0.8411 0.2631
B 0.5143 0.1589 0.7369
B 0.5143 0.3411 0.2369
B 0.5158 0.2288 0.9260
B 0.5158 0.2712 0.4260
B 0.7276 0.1861 0.8477
B 0.7276 0.3139 0.3477
B 0.8955 0.5606 0.3795
B 0.8955 0.9394 0.8795
B 0.9731 0.2465 0.8559
B 0.9731 0.2535 0.3559
O 0.0014 0.5603 0.6320
O 0.0014 0.9397 0.1320
O 0.0780 0.1393 0.3574
O 0.0780 0.3607 0.8574
O 0.0797 0.2326 0.0864
O 0.0797 0.2674 0.5864
O 0.1560 0.6981 0.1563
O 0.1560 0.8019 0.6563
O 0.2107 0.5464 0.4067
O 0.2107 0.9536 0.9067
O 0.2289 0.1009 0.6875
O 0.2289 0.3991 0.1875
O 0.2325 0.9995 0.1289
O 0.2325 0.5005 0.6289
O 0.3512 0.7422 0.5634
O 0.3512 0.7578 0.0634
O 0.3530 0.6836 0.7582
O 0.3530 0.8164 0.2582
O 0.4376 0.2306 0.0130
O 0.4376 0.2694 0.5130
O 0.4431 0.1955 0.8261
O 0.4431 0.3045 0.3261
O 0.4440 0.0790 0.6477
O 0.4440 0.4210 0.1477
O 0.5560 0.5790 0.8523
O 0.5560 0.9210 0.3523
O 0.5569 0.6955 0.6739
O 0.5569 0.8045 0.1739
O 0.5624 0.7306 0.4870
O 0.5624 0.7694 0.9870
O 0.6470 0.1836 0.7418
O 0.6470 0.3164 0.2418
O 0.6488 0.2422 0.9366
O 0.6488 0.2578 0.4366
O 0.7675 0.0005 0.8711
O 0.7675 0.4995 0.3711
O 0.7711 0.6009 0.8125
O 0.7711 0.8991 0.3125
O 0.7893 0.0464 0.0933
O 0.7893 0.4536 0.5933
O 0.8440 0.1981 0.3437
O 0.8440 0.3019 0.8437
O 0.9203 0.7326 0.4136
O 0.9203 0.7674 0.9136
O 0.9220 0.6393 0.1426
O 0.9220 0.8607 0.6426
O 0.9986 0.0603 0.8680
O 0.9986 0.4397 0.3680

Computed properties:
* symmetry: No. 14
* distance to the lowest polymorph of the same formula: 0.000 eV per atom

[4]
Density functional theory data (GGA-PBE) for a relaxed TlB3O5 crystal.

a = 6.7247 Å, b = 6.7247 Å, c = 9.2191 Å
α = 99.83°, β = 99.83°, γ = 83.15°
Fractional positions:
Tl 0.0705 0.7691 0.5598
Tl 0.2309 0.9295 0.9402
Tl 0.7691 0.0705 0.0598
Tl 0.9295 0.2309 0.4402
B 0.0722 0.5694 0.1801
B 0.2900 0.3093 0.7655
B 0.3093 0.2900 0.2655
B 0.3883 0.4649 0.0669
B 0.4306 0.9278 0.3199
B 0.4649 0.3883 0.5669
B 0.5351 0.6117 0.4331
B 0.5694 0.0722 0.6801
B 0.6117 0.5351 0.9331
B 0.6907 0.7100 0.7345
B 0.7100 0.6907 0.2345
B 0.9278 0.4306 0.8199
O 0.0921 0.2906 0.8037
O 0.1024 0.3975 0.2475
O 0.2143 0.6061 0.0975
O 0.2844 0.4036 0.6330
O 0.2906 0.0921 0.3037
O 0.3939 0.7857 0.4025
O 0.3975 0.1024 0.7475
O 0.4036 0.2844 0.1330
O 0.4093 0.4324 0.9021
O 0.4324 0.4093 0.4021
O 0.5676 0.5907 0.5979
O 0.5907 0.5676 0.0979
O 0.5964 0.7156 0.8670
O 0.6025 0.8976 0.2525
O 0.6061 0.2143 0.5975
O 0.7094 0.9079 0.6963
O 0.7156 0.5964 0.3670
O 0.7857 0.3939 0.9025
O 0.8976 0.6025 0.7525
O 0.9079 0.7094 0.1963

Computed properties:
* symmetry: No. 15
* distance to the lowest polymorph of the same formula: 0.016 eV per atom

[5]
Density functional theory data (GGA-PBE) for a relaxed TlBO3 crystal.

a = 3.5349 Å, b = 3.5349 Å, c = 3.5349 Å
α = 90.00°, β = 90.00°, γ = 90.00°
Fractional positions:
Tl 0.0000 0.0000 0.0000
B 0.5000 0.5000 0.5000
O 0.0000 0.5000 0.5000
O 0.5000 0.0000 0.5000
O 0.5000 0.5000 0.0000

Computed properties:
* symmetry: No. 221
* electronic total energy: -5.2059 eV/atom

[6]
Density functional theory data (GGA-PBE) for a relaxed Tl4B8O17 crystal.

a = 7.0722 Å, b = 9.5793 Å, c = 13.3519 Å
α = 89.72°, β = 82.95°, γ = 89.53°
Fractional positions:
Tl 0.0466 0.4714 0.3859
Tl 0.1781 0.6006 0.0998
Tl 0.3485 0.1596 0.8281
Tl 0.4149 0.8502 0.6660
Tl 0.5851 0.1498 0.3340
Tl 0.6515 0.8404 0.1719
Tl 0.8219 0.3994 0.9002
Tl 0.9534 0.5286 0.6141
B 0.0027 0.0046 0.7474
B 0.2579 0.5082 0.7551
B 0.2848 0.8786 0.3039
B 0.2932 0.1249 0.2029
B 0.3328 0.7503 0.4573
B 0.3805 0.2602 0.0505
B 0.4326 0.3793 0.2121
B 0.4328 0.6237 0.2969
B 0.5672 0.3763 0.7031
B 0.5674 0.6207 0.7879
B 0.6195 0.7398 0.9495
B 0.6672 0.2497 0.5427
B 0.7068 0.8751 0.7971
B 0.7152 0.1214 0.6961
B 0.7421 0.4918 0.2449
B 0.9973 0.9954 0.2526
O 0.0640 0.5148 0.7592
O 0.0688 0.3520 0.5156
O 0.0834 0.8841 0.2904
O 0.0878 0.1131 0.2168
O 0.2044 0.0070 0.7520
O 0.2957 0.7345 0.5619
O 0.3217 0.8772 0.4088
O 0.3362 0.5029 0.2592
O 0.3513 0.2485 0.2601
O 0.3564 0.3827 0.7343
O 0.3619 0.6255 0.7739
O 0.3650 0.1313 0.0953
O 0.3727 0.7553 0.2472
O 0.3745 0.2881 0.9492
O 0.3821 0.6298 0.4051
O 0.3910 0.0034 0.2511
O 0.4038 0.3799 0.1048
O 0.5962 0.6201 0.8952
O 0.6090 0.9966 0.7489
O 0.6179 0.3702 0.5949
O 0.6255 0.7119 0.0508
O 0.6273 0.2447 0.7528
O 0.6350 0.8687 0.9047
O 0.6381 0.3745 0.2261
O 0.6436 0.6173 0.2657
O 0.6487 0.7515 0.7399
O 0.6638 0.4971 0.7408
O 0.6783 0.1228 0.5912
O 0.7043 0.2655 0.4381
O 0.7956 0.9930 0.2480
O 0.9122 0.8869 0.7832
O 0.9166 0.1159 0.7096
O 0.9312 0.6480 0.4844
O 0.9360 0.4852 0.2408

Computed properties:
* symmetry: No. 2
* electronic total energy: -6.8815 eV/atom

[7]
Density functional theory data (GGA-PBE) for a relaxed TlB3O5 crystal.

a = 5.4261 Å, b = 8.3941 Å, c = 10.4078 Å
α = 90.00°, β = 90.00°, γ = 90.00°
Fractional positions:
Tl 0.0402 0.2319 0.3631
Tl 0.4598 0.7681 0.8631
Tl 0.5402 0.2681 0.6369
Tl 0.9598 0.7319 0.1369
B 0.0345 0.9355 0.6917
B 0.0895 0.1511 0.8554
B 0.2042 0.6185 0.4590
B 0.2958 0.3815 0.9590
B 0.4105 0.8489 0.3554
B 0.4655 0.0645 0.1917
B 0.5345 0.5645 0.3083
B 0.5895 0.3489 0.1446
B 0.7042 0.8815 0.5410
B 0.7958 0.1185 0.0410
B 0.9105 0.6511 0.6446
B 0.9655 0.4355 0.8083
O 0.0626 0.5567 0.5545
O 0.0663 0.7754 0.7087
O 0.1468 0.4925 0.8919
O 0.1859 0.0392 0.7575
O 0.2001 0.7744 0.4209
O 0.2999 0.2256 0.9209
O 0.3141 0.9608 0.2575
O 0.3532 0.5075 0.3919
O 0.4337 0.2246 0.2087
O 0.4374 0.4433 0.0545
O 0.5626 0.9433 0.4455
O 0.5663 0.7246 0.2913
O 0.6468 0.0075 0.1081
O 0.6859 0.4608 0.2425
O 0.7001 0.7256 0.5791
O 0.7999 0.2744 0.0791
O 0.8141 0.5392 0.7425
O 0.8532 0.9925 0.6081
O 0.9337 0.2754 0.7913
O 0.9374 0.0567 0.9455

Computed properties:
* symmetry: No. 19
* distance to the lowest polymorph of the same formula: 0.000 eV per atom

[8]
Density functional theory data (GGA-PBE) for a relaxed TmBO3 crystal.

a = 8.4707 Å, b = 3.8838 Å, c = 3.8838 Å
α = 114.40°, β = 90.00°, γ = 90.00°
Fractional positions:
Tm 0.0000 0.0000 0.0000
Tm 0.5000 0.0000 0.0000
B 0.2500 0.6999 0.4317
B 0.7500 0.4317 0.6999
O 0.1016 0.6067 0.2620
O 0.2500 0.9205 0.8142
O 0.3984 0.6067 0.2620
O 0.6016 0.2620 0.6067
O 0.7500 0.8142 0.9205
O 0.8984 0.2620 0.6067

Computed properties:
* symmetry: No. 40
* piezoelectric modulus e_max: 1.97 C/m²
* electronic total energy: -8.2779 eV/atom

[9]
Density functional theory data (GGA-PBE) for a relaxed TmBO3 crystal.

a = 6.5637 Å, b = 6.5637 Å, c = 8.6862 Å
α = 90.00°, β = 90.00°, γ = 120.00°
Fractional positions:
Tm 0.0000 0.0000 0.0000
Tm 0.0000 0.0000 0.5000
Tm 0.3333 0.6667 0.0000
Tm 0.3333 0.6667 0.5000
Tm 0.6667 0.3333 0.0000
Tm 0.6667 0.3333 0.5000
B 0.0000 0.4001 0.2500
B 0.0000 0.5999 0.7500
B 0.4001 0.0000 0.2500
B 0.4001 0.4001 0.7500
B 0.5999 0.0000 0.7500
B 0.5999 0.5999 0.2500
O 0.0000 0.3127 0.1028
O 0.0000 0.3127 0.3972
O 0.0000 0.3947 0.7500
O 0.0000 0.6053 0.2500
O 0.0000 0.6873 0.6028
O 0.0000 0.6873 0.8972
O 0.3127 0.0000 0.1028
O 0.3127 0.0000 0.3972
O 0.3127 0.3127 0.6028
O 0.3127 0.3127 0.8972
O 0.3947 0.0000 0.7500
O 0.3947 0.3947 0.2500
O 0.6053 0.0000 0.2500
O 0.6053 0.6053 0.7500
O 0.6873 0.0000 0.6028
O 0.6873 0.0000 0.8972
O 0.6873 0.6873 0.1028
O 0.6873 0.6873 0.3972

Computed properties:
* symmetry: No. 193
* electronic total energy: -7.9897 eV/atom